Model w:
This record from the Materials Project describes a relaxed structure of BaLiAl3P2H2O14. The functional is PBE.

Results
**Magnetic moment**: 0.0 μB per cell
**Symmetry**: P1 (1)

Cell lengths 7.1595, 7.1592, 7.6333 Å; angles 61.53, 118.55, 124.97 degrees
Sites, in units of the cell vectors:
P  0.7146  0.2759  0.1210
P  0.2801  0.7124  0.8639
O  0.3200  0.6743  0.4633
O  0.7895  0.9714  0.5839
O  0.0231  0.2047  0.5828
O  0.6877  0.3071  0.5289
O  0.8573  0.1325  0.2061
O  0.5046  0.8588  0.7753
O  0.1359  0.4889  0.7742
O  0.1338  0.8559  0.7573
O  0.8755  0.4970  0.2090
O  0.3484  0.6424  0.0956
O  0.6301  0.3572  0.8849
O  0.4951  0.1166  0.2106
O  0.9767  0.7841  0.3915
O  0.2097  0.0173  0.3929
H  0.3293  0.6663  0.3415
H  0.6757  0.3210  0.6449
Al  0.9932  0.4929  0.4870
Al  0.9961  0.9955  0.4827
Al  0.5011  0.0009  0.4888
Li  0.4562  0.5349  0.7581
Ba  0.0003  0.9959  0.9924

---

Model x:
This record from the Materials Project describes a relaxed structure of BaLiAl3P2H2O14. The functional is PBE.

Results
**Magnetic moment**: 0.0 μB per cell
**Symmetry**: P1 (1)

Cell lengths 7.3508, 7.1781, 7.9334 Å; angles 60.83, 118.31, 126.60 degrees
Sites, in units of the cell vectors:
P  0.2815  0.7276  0.8545
P  0.7331  0.2850  0.1490
Al  0.5194  0.0065  0.5168
Al  0.0149  0.0124  0.4996
Al  0.0110  0.5095  0.4999
H  0.3300  0.6855  0.3648
H  0.7028  0.3369  0.6519
O  0.0336  0.2217  0.5871
O  0.9823  0.7983  0.3984
O  0.9071  0.5144  0.2267
O  0.3236  0.6917  0.4820
O  0.7018  0.3295  0.5311
O  0.8549  0.1210  0.2365
O  0.1430  0.8729  0.7591
O  0.5270  0.1276  0.2525
O  0.3460  0.6591  0.0810
O  0.5099  0.8905  0.7808
O  0.1246  0.5013  0.7748
O  0.8061  0.9782  0.6078
O  0.6325  0.3375  0.9267
O  0.2171  0.0375  0.3983
Li  0.6684  0.8051  0.1839
Ba  0.1239  0.0467  0.9875

---

Relative energies, eV/atom: model w 0.000; model x 0.015.

---

Model w:
This record from the Materials Project describes a relaxed structure of BaLiAl3P2H2O14. The functional is PBE.

Results
**Magnetic moment**: 0.0 μB per cell
**Symmetry**: Cm (8)

Cell lengths 7.2373, 7.2373, 7.9451 Å; angles 61.31, 118.69, 127.02 degrees
Sites, in units of the cell vectors:
O  0.7815  0.9813  0.5847
O  0.6738  0.3257  0.5074
O  0.1035  0.5054  0.7544
O  0.4943  0.8962  0.7543
O  0.1272  0.8725  0.7498
O  0.3183  0.6813  0.4787
O  0.8630  0.1366  0.2289
O  0.6528  0.3467  0.9065
O  0.9684  0.7938  0.3899
O  0.0183  0.2181  0.5847
O  0.4907  0.1098  0.2150
O  0.8897  0.5088  0.2150
O  0.3442  0.6556  0.0607
O  0.2058  0.0311  0.3899
Al  0.9868  0.5039  0.4855
Al  0.9951  0.0045  0.4917
Al  0.4957  0.0128  0.4855
H  0.6655  0.3340  0.6231
H  0.4012  0.5983  0.5974
Ba  0.9589  0.0408  0.9857
P  0.7196  0.2800  0.1292
P  0.2675  0.7323  0.8361
Li  0.2761  0.7233  0.2075

---

Model x:
This record from the Materials Project describes a relaxed structure of BaLiAl3P2H2O14. The functional is PBE.

Results
**Magnetic moment**: 0.0 μB per cell
**Symmetry**: Cm (8)

Cell lengths 7.3554, 7.3555, 7.5377 Å; angles 62.82, 117.18, 125.62 degrees
Sites, in units of the cell vectors:
O  0.4896  0.8803  0.7852
O  0.9766  0.7927  0.4031
O  0.8770  0.4924  0.2097
O  0.3036  0.6964  0.4559
O  0.3358  0.6642  0.1084
O  0.1197  0.5104  0.7852
O  0.5076  0.1230  0.2097
O  0.1324  0.8676  0.7753
O  0.8649  0.1351  0.2303
O  0.2073  0.0234  0.4031
O  0.6615  0.3385  0.8771
O  0.6986  0.3014  0.5400
O  0.0326  0.2044  0.6128
O  0.7956  0.9674  0.6128
P  0.2722  0.7278  0.8777
P  0.7220  0.2780  0.1059
Al  0.4739  0.9830  0.5113
Al  0.0031  0.9969  0.5077
Al  0.0170  0.5261  0.5114
H  0.6921  0.3079  0.6669
H  0.3125  0.6875  0.3313
Li  0.7879  0.2121  0.4105
Ba  0.0072  0.9928  0.0066

---

Relative energies, eV/atom: model w 0.000; model x 0.177.

---

Model w:
This record from the Materials Project describes a relaxed structure of BaMgAl3P2H2O14. The functional is PBE.

Results
**Magnetic moment**: 3.0 μB per cell
**Symmetry**: C2 (5)

Cell lengths 7.0992, 7.0964, 7.0301 Å; angles 61.20, 118.79, 121.01 degrees
Sites, in units of the cell vectors:
O  0.7494  0.9232  0.5836
O  0.8421  0.1460  0.1786
O  0.2582  0.0913  0.4298
O  0.4909  0.1474  0.1883
O  0.6123  0.3755  0.8276
O  0.3768  0.6110  0.1757
O  0.8527  0.5051  0.1835
O  0.5066  0.8513  0.8198
O  0.1474  0.8407  0.8246
O  0.0924  0.2565  0.5733
O  0.2929  0.7148  0.4323
O  0.1490  0.4892  0.8152
O  0.9247  0.7479  0.4193
O  0.7163  0.2912  0.5713
H  0.3081  0.7230  0.2944
H  0.7225  0.3071  0.7079
Mg  0.4034  0.4031  0.5015
Al  0.0023  0.4961  0.4990
Al  0.9924  0.9907  0.5016
Al  0.4978  0.0011  0.5044
P  0.6971  0.2953  0.0890
P  0.2968  0.6956  0.9143
Ba  0.0019  0.0009  0.0015

---

Model x:
This record from the Materials Project describes a relaxed structure of BaMgAl3P2H2O14. The functional is PBE.

Results
**Magnetic moment**: 0.6 μB per cell
**Symmetry**: Cm (8)

Cell lengths 6.8782, 6.8783, 8.1278 Å; angles 66.43, 113.57, 119.30 degrees
Sites, in units of the cell vectors:
Al  0.0584  0.4858  0.5937
Al  0.5142  0.9416  0.5937
Al  0.0230  0.9770  0.5955
H  0.6533  0.3467  0.6146
H  0.3924  0.6076  0.4896
O  0.8063  0.5343  0.0927
O  0.5987  0.4013  0.7795
O  0.1465  0.4887  0.8304
O  0.8130  0.1870  0.0937
O  0.3576  0.6424  0.1225
O  0.3143  0.6857  0.5009
O  0.1425  0.8575  0.8305
O  0.4657  0.1937  0.0927
O  0.5113  0.8535  0.8304
O  0.0008  0.7745  0.4763
O  0.2255  0.9992  0.4763
O  0.7248  0.9288  0.5280
O  0.0712  0.2752  0.5280
O  0.7129  0.2871  0.5579
P  0.6635  0.3365  0.9870
P  0.2942  0.7058  0.9166
Ba  0.0288  0.9712  0.0858
Mg  0.7719  0.2281  0.3219

---

Relative energies, eV/atom: model w 0.000; model x 0.105.

---

Model w:
This record from the Materials Project describes a relaxed structure of BaMgAl3P2H2O14. The functional is PBE.

Results
**Magnetic moment**: 1.0 μB per cell
**Symmetry**: Cm (8)

Cell lengths 7.2128, 7.2128, 7.2376 Å; angles 62.60, 117.40, 123.28 degrees
Sites, in units of the cell vectors:
Al  0.9892  0.5146  0.4874
Al  0.0140  0.9860  0.4588
Al  0.4854  0.0108  0.4874
O  0.8657  0.7205  0.3877
O  0.6433  0.3567  0.8553
O  0.2795  0.1343  0.3877
O  0.8639  0.1361  0.1773
O  0.0105  0.1968  0.5629
O  0.5026  0.8643  0.7825
O  0.7129  0.2871  0.5677
O  0.1357  0.4974  0.7825
O  0.3524  0.6476  0.1132
O  0.1405  0.8595  0.7670
O  0.8760  0.4844  0.2023
O  0.2813  0.7187  0.4267
O  0.5156  0.1240  0.2023
O  0.8032  0.9895  0.5629
P  0.2831  0.7169  0.8652
P  0.7245  0.2755  0.1000
Ba  0.0125  0.9875  0.0047
H  0.7023  0.2977  0.6982
H  0.2934  0.7066  0.3023
Mg  0.5251  0.4749  0.3456

---

Model x:
This record from the Materials Project describes a relaxed structure of BaMgAl3P2H2O14. The functional is PBE.

Results
**Magnetic moment**: 0.0 μB per cell
**Symmetry**: P1 (1)

Cell lengths 7.2278, 7.2302, 7.6496 Å; angles 61.57, 118.46, 125.24 degrees
Sites, in units of the cell vectors:
Mg  0.2379  0.7608  0.1505
Ba  0.9433  0.0576  0.9740
H  0.6605  0.3389  0.6208
H  0.3927  0.6070  0.5446
O  0.6559  0.3432  0.8825
O  0.0748  0.2580  0.5874
O  0.9741  0.7942  0.4094
O  0.3026  0.6970  0.4511
O  0.1129  0.5080  0.7671
O  0.8807  0.5146  0.1949
O  0.8601  0.1396  0.2258
O  0.7418  0.9249  0.5875
O  0.3663  0.6332  0.0936
O  0.6862  0.3132  0.5203
O  0.4847  0.1187  0.1949
O  0.4922  0.8868  0.7674
O  0.1436  0.8562  0.8099
O  0.2053  0.0251  0.4098
P  0.7166  0.2827  0.1129
P  0.2798  0.7202  0.8574
Al  0.5040  0.0080  0.4927
Al  0.9904  0.0094  0.5146
Al  0.9914  0.4956  0.4925

---

Relative energies, eV/atom: model w 0.000; model x 0.073.

---

Model w:
This record from the Materials Project describes a relaxed structure of BaMg14Al. The functional is PBE.

Results
**Magnetic moment**: 0.0 μB per cell
**Symmetry**: Amm2 (38)

Cell lengths 6.6316, 6.5866, 10.4697 Å; angles 90.00, 90.00, 119.78 degrees
Sites, in units of the cell vectors:
Mg  0.3379  0.6579  0.8639
Mg  0.1681  0.8341  0.6250
Mg  0.8200  0.6600  0.3915
Mg  0.3379  0.1800  0.3861
Mg  0.6516  0.8157  0.1250
Mg  0.6669  0.3284  0.6250
Mg  0.3379  0.1800  0.8639
Mg  0.8399  0.1699  0.3625
Mg  0.8200  0.6600  0.8585
Mg  0.6516  0.3359  0.1250
Mg  0.3379  0.6579  0.3861
Mg  0.6669  0.8385  0.6250
Mg  0.1614  0.3307  0.6250
Mg  0.8399  0.1699  0.8875
Ba  0.1575  0.8288  0.1250
Al  0.2046  0.3523  0.1250

---

Model x:
This record from the Materials Project describes a relaxed structure of BaMg14Al. The functional is PBE.

Results
**Magnetic moment**: 0.0 μB per cell
**Symmetry**: P-6m2 (187)

Cell lengths 6.5621, 6.5621, 10.6218 Å; angles 90.00, 90.00, 120.00 degrees
Sites, in units of the cell vectors:
Ba  0.1667  0.3333  0.6250
Al  0.1667  0.3333  0.1250
Mg  0.3365  0.6730  0.8918
Mg  0.3365  0.6730  0.3582
Mg  0.6602  0.3204  0.6250
Mg  0.8333  0.6667  0.3815
Mg  0.6602  0.8398  0.6250
Mg  0.6695  0.8305  0.1250
Mg  0.3365  0.1635  0.8918
Mg  0.8333  0.6667  0.8685
Mg  0.1610  0.8305  0.1250
Mg  0.8270  0.1635  0.8918
Mg  0.6695  0.3390  0.1250
Mg  0.8270  0.1635  0.3582
Mg  0.3365  0.1635  0.3582
Mg  0.1796  0.8398  0.6250

---

Relative energies, eV/atom: model w 0.000; model x 0.018.

---

Model w:
This record from the Materials Project describes a relaxed structure of BaSm5Al3Si9N20O. The functional is PBE.

Results
**Magnetic moment**: 0.0 μB per cell
**Symmetry**: P1 (1)

Cell lengths 6.1851, 9.5745, 9.5753 Å; angles 60.06, 89.85, 89.70 degrees
Sites, in units of the cell vectors:
N  0.2094  0.8149  0.3484
N  0.2498  0.2132  0.5770
N  0.4855  0.4910  0.9954
N  0.0766  0.6675  0.6657
N  0.9910  0.9996  0.4811
N  0.9909  0.4798  0.5202
N  0.7553  0.7994  0.7794
N  0.7919  0.1506  0.6464
N  0.7909  0.1854  0.1603
N  0.9216  0.3333  0.3324
N  0.7922  0.6454  0.2024
N  0.2077  0.3554  0.8473
N  0.7544  0.7770  0.4208
N  0.2436  0.2217  0.1999
N  0.0032  0.5196  0.0002
N  0.5138  0.0022  0.5098
N  0.5138  0.5095  0.4872
N  0.7478  0.4222  0.7896
N  0.2092  0.8393  0.8137
N  0.2509  0.5771  0.2130
Si  0.2495  0.3915  0.0084
Si  0.9875  0.1810  0.2848
Si  0.9971  0.5314  0.1837
Si  0.7492  0.9912  0.6094
Si  0.0023  0.4690  0.7149
Si  0.0075  0.8188  0.4663
Si  0.9927  0.2852  0.5309
Si  0.0119  0.7150  0.8184
Si  0.7498  0.6079  0.3996
Al  0.2554  0.0078  0.6068
Al  0.2547  0.6065  0.3875
Al  0.7441  0.3926  0.9937
Sm  0.5013  0.0002  0.2489
Sm  0.4951  0.7500  0.0012
Sm  0.5015  0.2493  0.7506
Sm  0.5033  0.6641  0.6680
Sm  0.4961  0.3350  0.3349
O  0.5007  0.0006  0.9989
Ba  0.0007  0.9988  0.0028

---

Model x:
This record from the Materials Project describes a relaxed structure of BaSm5Al3Si9N20O. The functional is PBE.

Results
**Magnetic moment**: 0.0 μB per cell
**Symmetry**: P1 (1)

Cell lengths 6.0730, 9.5626, 9.6527 Å; angles 60.85, 89.91, 89.95 degrees
Sites, in units of the cell vectors:
N  0.1045  0.6703  0.6625
N  0.2443  0.5774  0.2192
N  0.7858  0.6515  0.2002
N  0.9974  0.4850  0.5070
N  0.2254  0.8677  0.8000
N  0.2232  0.3386  0.8615
N  0.7379  0.4200  0.8007
N  0.9970  0.5077  0.0089
N  0.2631  0.2168  0.2006
N  0.7870  0.1548  0.6439
N  0.5008  0.0056  0.5112
N  0.0012  0.9919  0.4925
N  0.7564  0.7767  0.4269
N  0.9060  0.3370  0.3327
N  0.4983  0.5170  0.4810
N  0.7720  0.1991  0.1407
N  0.2447  0.2082  0.5705
N  0.4983  0.4881  0.0025
N  0.2088  0.7995  0.3468
N  0.7386  0.8055  0.7807
Al  0.0160  0.7181  0.8187
Al  0.0154  0.4658  0.7166
Al  0.9860  0.1782  0.2835
Si  0.7412  0.3930  0.9902
Si  0.9847  0.2887  0.5232
Si  0.0182  0.8098  0.4768
Si  0.2545  0.0123  0.6047
Si  0.7455  0.9903  0.6148
Si  0.2504  0.6042  0.3843
Si  0.9839  0.5275  0.1862
Si  0.2570  0.3803  0.0144
Si  0.7476  0.6135  0.3950
O  0.5074  0.9999  0.0005
Sm  0.5015  0.0003  0.2455
Sm  0.4986  0.2445  0.7581
Sm  0.4988  0.7556  0.9968
Sm  0.5061  0.6639  0.6723
Sm  0.4963  0.3309  0.3305
Ba  0.0002  0.0048  0.9979

---

Relative energies, eV/atom: model w 0.000; model x 0.014.